Entry 1:
A geometry-optimized Sr2MgWO6 structure, computed with PBE with a Hubbard U.

Summary:
The calculation puts the MP2020-corrected energy at -77.421 eV/cell. The calculated density is 6.151 Mg/m³. As for the calculated volume: 12.94 Å³/atom. The formation enthalpy at 0 K comes out at -29.796 eV/f.u.

a = 5.6776 Å, b = 5.6776 Å, c = 5.6776 Å
α = 60.00°, β = 60.00°, γ = 60.00°
With the nearest neighbours (Å) after each atom.
Fractional coordinates of all 10 atoms:
O1 0.7573 0.2427 0.2427  1 W 1.95, 1 Mg 2.07
O2 0.7573 0.2427 0.7573  1 W 1.95, 1 Mg 2.07
O3 0.7573 0.7573 0.2427  1 W 1.95, 1 Mg 2.07
O4 0.2427 0.7573 0.2427  1 W 1.95, 1 Mg 2.07
O5 0.2427 0.7573 0.7573  1 W 1.95, 1 Mg 2.07
O6 0.2427 0.2427 0.7573  1 W 1.95, 1 Mg 2.07
Sr1 0.2500 0.2500 0.2500  12 O 2.84
Sr2 0.7500 0.7500 0.7500  12 O 2.84
Mg1 0.5000 0.5000 0.5000  6 O 2.07
W1 0.0000 0.0000 0.0000  6 O 1.95


Entry 2:
A geometry-optimized FeBO3 structure, computed with PBE with a Hubbard U.

Summary:
The calculation puts the MP2020-corrected energy at -327.083 eV/cell. The calculated density is 3.788 Mg/m³. As for the calculated volume: 10.05 Å³/atom. The formation enthalpy at 0 K comes out at -10.892 eV/f.u.

a = 3.1494 Å, b = 10.3641 Å, c = 12.4270 Å
α = 90.00°, β = 97.54°, γ = 90.00°
With the nearest neighbours (Å) after each atom.
Fractional coordinates of all 40 atoms:
O1 0.7405 0.3420 0.7464  2 B 1.38-1.40
O2 0.7818 0.7042 0.5828  3 Fe 1.90-1.97
O3 0.1995 0.7110 0.9097  1 B 1.40
O4 0.8005 0.2110 0.5903  1 B 1.40
O5 0.6012 0.0490 0.7527  1 B 1.33
O6 0.2182 0.2958 0.4172  3 Fe 1.90-1.97
O7 0.2595 0.6580 0.2536  2 B 1.38-1.40
O8 0.7865 0.4424 0.5737  1 B 1.39
O9 0.8005 0.2890 0.0903  1 B 1.40
O10 0.2873 0.5456 0.0846  1 B 1.44
O11 0.1995 0.7890 0.4097  1 B 1.40
O12 0.7127 0.4544 0.9154  1 B 1.44
O13 0.2135 0.9424 0.9263  1 B 1.39
O14 0.3988 0.9510 0.2473  1 B 1.33
O15 0.7818 0.7958 0.0828  3 Fe 1.90-1.97
O16 0.6012 0.4510 0.2527  1 B 1.33
O17 0.7127 0.0456 0.4154  1 B 1.44
O18 0.2182 0.2042 0.9172  3 Fe 1.90-1.97
O19 0.7405 0.1580 0.2464  2 B 1.38-1.40
O20 0.7865 0.0576 0.0737  1 B 1.39
O21 0.2873 0.9544 0.5846  1 B 1.44
O22 0.3988 0.5490 0.7473  1 B 1.33
O23 0.2135 0.5576 0.4263  1 B 1.39
O24 0.2595 0.8420 0.7536  2 B 1.38-1.40
B1 0.3794 0.5466 0.2013  3 O 1.33-1.44
B2 0.7799 0.1674 0.1377  3 O 1.38-1.40
B3 0.7799 0.3326 0.6377  3 O 1.38-1.40
B4 0.6206 0.0466 0.2988  3 O 1.33-1.44
B5 0.6206 0.4534 0.7988  3 O 1.33-1.44
B6 0.2201 0.8326 0.8623  3 O 1.38-1.40
B7 0.3794 0.9534 0.7012  3 O 1.33-1.44
B8 0.2201 0.6674 0.3623  3 O 1.38-1.40
Fe1 0.7101 0.0916 0.9027  3 O 1.90-1.97
Fe2 0.2899 0.9084 0.0973  3 O 1.90-1.97
Fe3 0.7101 0.4084 0.4027  3 O 1.90-1.97
Fe4 0.2477 0.3569 0.0028  3 O 1.90-2.05
Fe5 0.7523 0.6431 0.9972  3 O 1.90-2.05
Fe6 0.2477 0.1431 0.5028  3 O 1.90-2.05
Fe7 0.7523 0.8569 0.4972  3 O 1.90-2.05
Fe8 0.2899 0.5916 0.5973  3 O 1.90-1.97